UGeAu | GGA-PBE | relaxed

```
UGeAu
1.0
2.2254 -3.8545 0.0000
2.2254 3.8545 0.0000
0.0000 0.0000 15.1579
U Ge Au
4 4 4
Cartesian
0.0000 0.0000 0.0000
0.0000 0.0000 11.3684
0.0000 0.0000 7.5789
0.0000 0.0000 3.7895
2.2254 1.2848 13.4814
2.2254 1.2848 9.2553
2.2254 -1.2848 1.6764
2.2254 -1.2848 5.9025
2.2254 1.2848 5.4105
2.2254 -1.2848 9.7474
2.2254 1.2848 2.1684
2.2254 -1.2848 12.9894
```

Total magnetization   0.55 μB/cell
Energy of formation   -5.9 kJ per mole of atoms

***

UGeAu | GGA-PBE | relaxed

```
UGeAu
1.0
-3.2848 -4.5224 1.1729
0.6610 -5.6376 -0.6311
1.0709 -4.4258 5.0785
Au U Ge
2 2 2
Cartesian
-1.5417 -11.1467 3.5186
-0.0112 -3.4391 2.1016
-1.2145 -6.4392 1.3241
-0.3383 -8.1465 4.2961
0.4529 -5.2090 4.2108
-2.0057 -9.3767 1.4095
```

Total magnetization   5.46 μB/cell
Energy of formation   -19.9 kJ per mole of atoms

***

HAuO2 | GGA-PBE | relaxed

```
HAuO2
1.0
1.5533 3.9245 0.0000
-1.5533 3.9245 0.0000
0.0000 0.5994 4.4923
O Au H
2 1 1
Cartesian
0.0000 0.7148 1.1073
0.0000 7.7336 3.3849
0.0000 3.9245 0.0000
0.0000 0.2997 2.2461
```

Total magnetization   0.00 μB/cell
Energy of formation   -71.0 kJ per mole of atoms
Relative energy among the computed polymorphs   20 meV/atom

***

HAuO2 | GGA-PBE | relaxed

```
HAuO2
1.0
-0.2978 0.5588 -3.0375
4.0340 -2.0205 -0.7672
-3.3999 -6.4633 -0.8556
O Au H
4 2 2
Cartesian
-0.1616 -5.4258 -0.9823
-2.6383 -5.4768 -0.7488
-1.1421 -1.8827 -1.8191
1.4906 -1.9097 -2.0822
0.3407 -2.1557 -0.4300
0.4618 -6.2075 -2.7720
2.2973 -3.0265 -2.3668
-1.2382 -5.4654 -0.8840
```

Total magnetization   0.00 μB/cell
Energy of formation   -71.5 kJ per mole of atoms
Relative energy among the computed polymorphs   15 meV/atom

***

Q: What is the total magnetization in the fourth record?
A: 0.00 μB/cell

***

Q: Which value of energy of formation does entry 4 give?
A: -71.5 kJ per mole of atoms